A relaxed Er2Fe17 crystal, computed with GGA-PBE.

Cell and atoms, written as POSCAR:
```
Er2Fe17
1.0
8.5084 0.0000 0.0000
-4.2542 7.3685 0.0000
0.0000 0.0000 8.1816
Er Fe
4 34
Cartesian
0.0000 0.0000 2.0454 Er
0.0000 0.0000 6.1362 Er
0.0000 4.9123 2.0454 Er
4.2542 2.4562 6.1362 Er
-2.1271 3.6842 0.0000 Fe
-2.1271 3.6842 4.0908 Fe
-1.2381 2.7093 6.1362 Fe
-2.5270 4.9416 6.1362 Fe
0.0000 2.4451 0.1369 Fe
0.0000 2.4451 3.9539 Fe
-2.1367 6.1459 0.1369 Fe
-2.1367 6.1459 3.9539 Fe
1.2381 2.7093 6.1362 Fe
-1.2888 7.0861 6.1362 Fe
2.1175 1.2226 4.2277 Fe
2.1175 1.2226 8.0447 Fe
0.0000 4.9123 4.9503 Fe
0.0000 4.9123 7.3222 Fe
2.9654 0.2824 2.0454 Fe
1.7272 2.4269 2.0454 Fe
4.2542 0.0000 0.0000 Fe
4.2542 0.0000 4.0908 Fe
2.1271 3.6842 0.0000 Fe
2.1271 3.6842 4.0908 Fe
2.5270 4.9416 6.1362 Fe
1.2888 7.0861 6.1362 Fe
4.2542 2.4562 0.8595 Fe
4.2542 2.4562 3.2314 Fe
2.1367 6.1459 0.1369 Fe
2.1367 6.1459 3.9539 Fe
5.5430 0.2824 2.0454 Fe
3.0160 4.6592 2.0454 Fe
6.3909 1.2226 4.2277 Fe
6.3909 1.2226 8.0447 Fe
4.2542 4.9234 4.2277 Fe
4.2542 4.9234 8.0447 Fe
6.7812 2.4269 2.0454 Fe
5.4923 4.6592 2.0454 Fe
```

**Crystal system**: hexagonal
**E_tot**: -8.08 eV per atom
**SG**: P6_3/mmc (194)
**Formation energy from the elements**: -0.019 eV per atom
**Calculated density**: 8313 kg/m³
**Total moment**: 79.0 μB per cell

---

A relaxed TmAgTe2 crystal, computed with GGA-PBE.

Cell and atoms, written as POSCAR:
```
TmAgTe2
1.0
4.4531 0.0000 0.0000
-2.2266 3.8565 0.0000
0.0000 0.0000 7.3912
Tm Ag Te
1 1 2
Cartesian
0.0000 0.0000 0.0000 Tm
2.2266 1.2855 3.0260 Ag
0.0000 2.5710 1.7855 Te
2.2266 1.2855 5.7943 Te
```

**Crystal system**: trigonal
**E_tot**: -4.27 eV per atom
**SG**: P3m1 (156)
**Formation energy from the elements**: -1.078 eV per atom
**Calculated density**: 6960 kg/m³
**Total moment**: 0.0 μB per cell

---

A relaxed Nd2In8Co crystal, computed with GGA-PBE.

Cell and atoms, written as POSCAR:
```
Nd2In8Co
1.0
4.6822 0.0000 0.0000
0.0000 4.6822 0.0000
0.0000 0.0000 12.2762
Nd In Co
2 8 1
Cartesian
0.0000 0.0000 2.3984 Nd
0.0000 0.0000 9.8778 Nd
0.0000 2.3411 0.0000 In
0.0000 2.3411 4.7065 In
0.0000 2.3411 7.5697 In
2.3411 0.0000 0.0000 In
2.3411 0.0000 4.7065 In
2.3411 0.0000 7.5697 In
2.3411 2.3411 2.3990 In
2.3411 2.3411 9.8772 In
0.0000 0.0000 6.1381 Co
```

**Crystal system**: tetragonal
**E_tot**: -3.85 eV per atom
**SG**: P4/mmm (123)
**Formation energy from the elements**: -0.332 eV per atom
**Calculated density**: 7811 kg/m³

---

A relaxed ReAg2Cl6 crystal, computed with GGA-PBE.

Cell and atoms, written as POSCAR:
```
ReAg2Cl6
1.0
3.3682 1.9446 6.0198
-3.3682 1.9446 6.0198
0.0000 -3.8892 6.0198
Re Ag Cl
1 2 6
Cartesian
0.0000 0.0000 0.0000 Re
0.0000 0.0000 4.7985 Ag
0.0000 0.0000 13.2609 Ag
-2.2475 0.3640 7.4040 Cl
-1.4389 -1.7644 10.6554 Cl
0.8085 -2.1284 7.4040 Cl
-0.8086 2.1284 10.6554 Cl
1.4389 1.7644 7.4040 Cl
2.2475 -0.3640 10.6554 Cl
```

**Crystal system**: trigonal
**E_tot**: -3.78 eV per atom
**SG**: R-3 (148)
**Formation energy from the elements**: -0.947 eV per atom
**Calculated density**: 4314 kg/m³